Material: CdC2Br4N2
Method: DFT, PBE
State: relaxed

Results
Energy relative to the elements, eV per atom: 0.05
Electronic total energy, eV/atom: -4.61

Cell: 9.500 15.646 9.204 Å, 90.00 95.89 90.00°
Atoms (fractional coordinates):
Cd  0.174  0.005  0.029
Cd  0.174  0.495  0.529
Cd  0.826  0.505  0.471
Cd  0.826  0.995  0.971
C  0.230  0.115  0.729
C  0.230  0.385  0.229
C  0.321  0.651  0.125
C  0.321  0.849  0.625
C  0.679  0.151  0.375
C  0.679  0.349  0.875
C  0.770  0.615  0.771
C  0.770  0.885  0.271
Br  0.008  0.110  0.151
Br  0.008  0.390  0.651
Br  0.178  0.146  0.546
Br  0.178  0.354  0.046
Br  0.330  0.600  0.667
Br  0.330  0.900  0.167
Br  0.447  0.633  0.281
Br  0.447  0.867  0.781
Br  0.553  0.133  0.219
Br  0.553  0.367  0.719
Br  0.670  0.100  0.833
Br  0.670  0.400  0.333
Br  0.822  0.646  0.954
Br  0.822  0.854  0.454
Br  0.992  0.610  0.349
Br  0.992  0.890  0.849
N  0.232  0.663  0.031
N  0.232  0.837  0.531
N  0.260  0.091  0.849
N  0.260  0.409  0.349
N  0.740  0.591  0.651
N  0.740  0.909  0.151
N  0.768  0.163  0.469
N  0.768  0.337  0.969